Below is an optimized crystal structure of Sm3Ge5, with properties calculated at the PBE level.

Lattice parameters (Å, degrees): 7.0215 7.0215 8.5683 90.00 90.00 120.00
Last column: nearest neighbours and their distance in Å.
Fractional coordinates of all 16 atoms:
Ge 0.0645 0.6687 0.7500  2 Ge 2.58-2.60
Ge 0.0000 0.0000 0.2500  3 Ge 2.58
Sm 0.6686 0.6686 0.0000  8 Ge 3.03-3.18
Ge 0.3333 0.6667 0.2500  3 Ge 2.60
Ge 0.6042 0.9355 0.7500  2 Ge 2.58-2.60
Ge 0.9355 0.6042 0.2500  2 Ge 2.58-2.60
Ge 0.3958 0.3313 0.2500  2 Ge 2.58-2.60
Ge 0.3313 0.3958 0.7500  2 Ge 2.58-2.60
Sm 0.0000 0.3314 0.0000  8 Ge 3.03-3.18
Sm 0.3314 0.0000 0.0000  8 Ge 3.03-3.18
Ge 0.6667 0.3333 0.7500  3 Ge 2.60
Sm 0.0000 0.3314 0.5000  8 Ge 3.03-3.18
Sm 0.6686 0.6686 0.5000  8 Ge 3.03-3.18
Ge 0.6687 0.0645 0.2500  2 Ge 2.58-2.60
Ge 0.0000 0.0000 0.7500  3 Ge 2.58
Sm 0.3314 0.0000 0.5000  8 Ge 3.03-3.18

Calculated values
Its energy of formation from the pure elements is -0.7435 eV/atom. As for the space-group type: P-62c. The energy relative to the lowest polymorph listed for this composition is 0 meV/atom. The volume comes out at 366 Å³/cell. The raw total energy comes out at -86.44 eV for the cell shown.